No. 1
Density functional theory data (GGA-PBE) for a relaxed K3Pr crystal.

Output
Total magnetic moment   1.2 μB/f.u.
Calculated formation energy   2.11 eV per formula unit
Distance to the lowest polymorph of the same formula   0 meV per atom
SG   P6_3/mmc (194)

a = 8.6835 Å, b = 8.6835 Å, c = 7.1767 Å
α = 90.00°, β = 90.00°, γ = 120.00°
Positions (direct):
K 0.1708 0.3416 0.2500
K 0.6584 0.8292 0.2500
K 0.1708 0.8292 0.2500
K 0.8292 0.6584 0.7500
K 0.3416 0.1708 0.7500
K 0.8292 0.1708 0.7500
Pr 0.3333 0.6667 0.7500
Pr 0.6667 0.3333 0.2500



No. 2
Density functional theory data (GGA-PBE) for a relaxed K3Pr crystal.

Output
Total magnetic moment   0.0 μB/f.u.
Calculated formation energy   2.13 eV per formula unit
Distance to the lowest polymorph of the same formula   4 meV per atom
SG   I4/mmm (139)

a = 7.9218 Å, b = 7.9218 Å, c = 7.9218 Å
α = 136.85°, β = 136.85°, γ = 62.67°
Positions (direct):
K 0.7500 0.2500 0.5000
K 0.2500 0.7500 0.5000
K 0.5000 0.5000 0.0000
Pr 0.0000 0.0000 0.0000



No. 3
Density functional theory data (GGA-PBE) for a relaxed KPrS2 crystal.

Output
Calculated formation energy   -8.34 eV per formula unit
SG   R-3m (166)

a = 4.2335 Å, b = 4.2335 Å, c = 7.7935 Å
α = 74.24°, β = 74.24°, γ = 60.00°
Positions (direct):
K 0.5000 0.5000 0.5000
Pr 0.0000 0.0000 0.0000
S 0.7362 0.7362 0.7914
S 0.2638 0.2638 0.2086



> Which value of calculated formation energy does entry 3 give?

-8.34 eV per formula unit